[1]
A plane-wave DFT calculation with GGA+U was carried out for NaFe3P3O12 after structural relaxation.

a b c (Å): 8.5587 8.5587 6.5513
angles (deg): 106.20 106.20 93.40
With the nearest neighbours (Å) after each atom.
Fractional coordinates of all 38 atoms:
Na 0.0194 0.9806 0.7500  4 O 2.34-2.53
Na 0.9806 0.0194 0.2500  4 O 2.34-2.53
Fe 0.0542 0.3792 0.6218  6 O 1.94-2.15
Fe 0.2827 0.7173 0.2500  6 O 1.97-2.16
Fe 0.3792 0.0542 0.1218  6 O 1.94-2.15
Fe 0.6208 0.9458 0.8782  6 O 1.94-2.15
Fe 0.7173 0.2827 0.7500  6 O 1.97-2.16
Fe 0.9458 0.6208 0.3782  6 O 1.94-2.15
P 0.1159 0.3384 0.1120  4 O 1.54-1.58
P 0.3105 0.6895 0.7500  4 O 1.52-1.60
P 0.3384 0.1159 0.6120  4 O 1.54-1.58
P 0.6616 0.8841 0.3880  4 O 1.54-1.58
P 0.6895 0.3105 0.2500  4 O 1.52-1.60
P 0.8841 0.6616 0.8880  4 O 1.54-1.58
O 0.0187 0.6848 0.1204  1 P 1.58
O 0.0346 0.3892 0.3011  1 P 1.56
O 0.1662 0.1660 0.0998  1 P 1.55
O 0.1660 0.1662 0.5998  1 P 1.55
O 0.1972 0.7259 0.5332  1 P 1.60
O 0.2559 0.4753 0.1530  1 P 1.54
O 0.2699 0.5115 0.7376  1 P 1.52
O 0.2741 0.8028 0.9668  1 P 1.60
O 0.3152 0.9814 0.3796  1 P 1.58
O 0.3892 0.0346 0.8011  1 P 1.56
O 0.4753 0.2559 0.6530  1 P 1.54
O 0.4885 0.7301 0.7624  1 P 1.52
O 0.5115 0.2699 0.2376  1 P 1.52
O 0.5247 0.7441 0.3471  1 P 1.54
O 0.6108 0.9654 0.1989  1 P 1.56
O 0.6848 0.0186 0.6204  1 P 1.58
O 0.7259 0.1972 0.0332  1 P 1.60
O 0.7301 0.4885 0.2624  1 P 1.52
O 0.7441 0.5247 0.8470  1 P 1.54
O 0.8028 0.2741 0.4668  1 P 1.60
O 0.8340 0.8338 0.4002  1 P 1.55
O 0.8338 0.8340 0.9002  1 P 1.55
O 0.9654 0.6108 0.6989  1 P 1.56
O 0.9814 0.3152 0.8796  1 P 1.58

Calculated values
Its space group is No. 15.

[2]
A plane-wave DFT calculation with GGA+U was carried out for CoH2O2 after structural relaxation.

a b c (Å): 3.0753 3.2590 5.0361
angles (deg): 80.63 82.86 62.96
With the nearest neighbours (Å) after each atom.
Fractional coordinates of all 5 atoms:
Co 0.0000 0.0000 0.0000  5 O 2.04-2.12
H 0.3991 0.4726 0.6065  1 O 0.98
H 0.4525 0.9820 0.3886  1 O 0.97
O 0.3634 0.3932 0.8022  1 H 0.98
O 0.5564 0.7690 0.2531  1 H 0.97

Calculated values
Its space group is No. 1.

[3]
A plane-wave DFT calculation with GGA+U was carried out for Li3V4FeO12 after structural relaxation.

a b c (Å): 6.9080 6.9080 5.6373
angles (deg): 107.38 107.38 76.32
With the nearest neighbours (Å) after each atom.
Fractional coordinates of all 20 atoms:
Li 0.0000 0.0000 0.0000  6 O 2.15-2.20
Li 0.3626 0.6374 0.0000  6 O 2.17-2.40
Li 0.8061 0.1939 0.5000  4 O 2.04-2.06
V 0.2504 0.2940 0.4513  2 O 1.74-1.80
V 0.4680 0.0889 0.9825  4 O 1.73-1.78
V 0.7060 0.7496 0.5487  2 O 1.74-1.80
V 0.9111 0.5320 0.0175  4 O 1.73-1.78
Fe 0.1622 0.8378 0.5000  6 O 2.01-2.04
O 0.0648 0.3058 0.0779  1 V 1.73
O 0.0762 0.7127 0.1156  1 V 1.75
O 0.0876 0.1145 0.4197  1 V 1.80, 1 Fe 2.01
O 0.2022 0.5592 0.5649  1 V 1.74
O 0.2873 0.9238 0.8844  1 V 1.75
O 0.4046 0.2748 0.8094  1 V 1.74
O 0.4408 0.7978 0.4351  1 V 1.74
O 0.4982 0.2030 0.3162  2 V 1.78-1.97
O 0.6942 0.9352 0.9221  1 V 1.73
O 0.7252 0.5954 0.1906  1 V 1.74
O 0.7970 0.5018 0.6838  2 V 1.78-1.97
O 0.8855 0.9124 0.5803  1 V 1.80, 1 Fe 2.01

Calculated values
Its space group is No. 5.

[4]
A plane-wave DFT calculation with GGA+U was carried out for Li24Mn7Cr5O36 after structural relaxation.

a b c (Å): 5.0059 5.0104 28.8282
angles (deg): 90.19 90.28 119.66
With the nearest neighbours (Å) after each atom.
Fractional coordinates of all 72 atoms:
Li 0.0000 0.0000 0.0000  6 O 2.07-2.12
Li 0.0004 0.0004 0.4999  6 O 2.07-2.12
Li 0.0012 0.9979 0.2501  6 O 2.04-2.19
Li 0.0026 0.0004 0.7500  6 O 2.04-2.19
Li 0.0059 0.3235 0.9168  6 O 2.05-2.19
Li 0.0067 0.3259 0.4164  6 O 2.06-2.20
Li 0.3324 0.0040 0.4166  6 O 2.06-2.21
Li 0.3325 0.0045 0.9165  6 O 2.06-2.22
Li 0.3329 0.3322 0.8333  6 O 2.07-2.13
Li 0.3348 0.3315 0.0834  6 O 2.04-2.20
Li 0.3354 0.3314 0.3333  6 O 2.08-2.11
Li 0.3359 0.3329 0.5833  6 O 2.03-2.19
Li 0.3383 0.6569 0.7499  6 O 2.06-2.22
Li 0.3406 0.6614 0.2502  6 O 2.06-2.20
Li 0.6639 0.3347 0.2499  6 O 2.06-2.21
Li 0.6657 0.3379 0.7501  6 O 2.05-2.21
Li 0.6675 0.6623 0.6666  6 O 2.08-2.13
Li 0.6676 0.6643 0.4165  6 O 2.04-2.20
Li 0.6686 0.6658 0.9167  6 O 2.04-2.20
Li 0.6688 0.6676 0.1667  6 O 2.07-2.13
Li 0.6758 0.9960 0.5835  6 O 2.05-2.22
Li 0.6769 0.9943 0.0832  6 O 2.05-2.19
Li 0.9949 0.6654 0.5832  6 O 2.05-2.22
Li 0.9949 0.6675 0.0835  6 O 2.06-2.22
Mn 0.0011 0.3313 0.6667  6 O 1.93-1.95
Mn 0.0023 0.6644 0.3333  6 O 1.93-1.95
Mn 0.0023 0.6638 0.8333  6 O 1.92-1.95
Mn 0.3364 0.9980 0.1666  6 O 1.92-1.95
Mn 0.6681 0.9987 0.3333  6 O 1.93-1.95
Mn 0.6693 0.3307 0.0000  6 O 1.92-1.95
Mn 0.6696 0.3308 0.4999  6 O 1.92-1.95
Cr 0.0010 0.3365 0.1667  6 O 1.91-1.98
Cr 0.3316 0.6687 0.0000  6 O 1.90-1.98
Cr 0.3325 0.6688 0.5000  6 O 1.90-1.98
Cr 0.3341 0.9926 0.6667  6 O 1.92-1.99
Cr 0.6643 0.0003 0.8333  6 O 1.91-1.98
O 0.0032 0.6373 0.4628  1 Cr 1.90, 1 Mn 1.94, 2 Li 2.06-2.11
O 0.0029 0.6376 0.9628  1 Cr 1.90, 1 Mn 1.95, 2 Li 2.06-2.11
O 0.0256 0.6637 0.7040  1 Mn 1.93, 1 Cr 1.94, 2 Li 2.06-2.08
O 0.0273 0.0206 0.1285  1 Mn 1.94, 1 Cr 1.98, 4 Li 2.04-2.13
O 0.0286 0.6657 0.2039  1 Cr 1.91, 1 Mn 1.95, 2 Li 2.06-2.10
O 0.0299 0.0250 0.6288  1 Cr 1.94, 1 Mn 1.94, 4 Li 2.03-2.16
O 0.3081 0.3046 0.2045  1 Mn 1.94, 1 Cr 1.95, 4 Li 2.04-2.16
O 0.3088 0.6620 0.6292  1 Cr 1.92, 1 Mn 1.95, 2 Li 2.06-2.09
O 0.3106 0.3105 0.7049  1 Mn 1.94, 1 Cr 1.99, 4 Li 2.04-2.15
O 0.3139 0.6682 0.1291  1 Mn 1.93, 1 Cr 1.96, 2 Li 2.06-2.08
O 0.3314 0.6857 0.8710  1 Mn 1.92, 1 Cr 1.97, 2 Li 2.06-2.08
O 0.3338 0.9731 0.2962  2 Mn 1.93-1.94, 2 Li 2.06-2.08
O 0.3351 0.9712 0.7960  1 Cr 1.91, 1 Mn 1.95, 2 Li 2.06-2.11
O 0.3364 0.6900 0.3706  2 Mn 1.93-1.95, 2 Li 2.06-2.09
O 0.3612 0.3560 0.4620  1 Mn 1.94, 1 Cr 1.97, 4 Li 2.04-2.15
O 0.3612 0.3566 0.9620  1 Mn 1.94, 1 Cr 1.97, 4 Li 2.04-2.14
O 0.3622 0.9973 0.5372  1 Cr 1.90, 1 Mn 1.95, 2 Li 2.06-2.11
O 0.3628 0.9970 0.0371  1 Cr 1.90, 1 Mn 1.95, 2 Li 2.06-2.11
O 0.6436 0.6386 0.0379  1 Mn 1.94, 1 Cr 1.97, 4 Li 2.04-2.14
O 0.6436 0.6389 0.5379  1 Mn 1.95, 1 Cr 1.97, 4 Li 2.03-2.16
O 0.6484 0.0029 0.4623  1 Mn 1.92, 1 Cr 1.97, 2 Li 2.06-2.07
O 0.6489 0.0037 0.9622  1 Mn 1.92, 1 Cr 1.98, 2 Li 2.06-2.07
O 0.6644 0.0187 0.2043  1 Mn 1.92, 1 Cr 1.98, 2 Li 2.06-2.07
O 0.6682 0.0262 0.7039  1 Cr 1.92, 1 Mn 1.94, 2 Li 2.05-2.11
O 0.6695 0.3033 0.1295  1 Cr 1.91, 1 Mn 1.94, 2 Li 2.05-2.12
O 0.6716 0.3098 0.6291  1 Mn 1.93, 1 Cr 1.98, 2 Li 2.05-2.08
O 0.6925 0.6889 0.2954  2 Mn 1.95, 4 Li 2.04-2.15
O 0.6939 0.3328 0.3705  2 Mn 1.93-1.94, 2 Li 2.06-2.08
O 0.6951 0.6914 0.7954  1 Mn 1.94, 1 Cr 1.96, 4 Li 2.04-2.15
O 0.6965 0.3305 0.8704  1 Cr 1.91, 1 Mn 1.94, 2 Li 2.05-2.11
O 0.9770 0.3306 0.2961  2 Mn 1.93-1.95, 2 Li 2.06-2.09
O 0.9779 0.9738 0.3712  2 Mn 1.95, 4 Li 2.04-2.14
O 0.9788 0.9725 0.8714  1 Mn 1.94, 1 Cr 1.98, 4 Li 2.04-2.14
O 0.9817 0.3362 0.7957  1 Mn 1.92, 1 Cr 1.98, 2 Li 2.05-2.07
O 0.9967 0.3514 0.0378  1 Mn 1.92, 1 Cr 1.98, 2 Li 2.06-2.07
O 0.9974 0.3513 0.5377  1 Mn 1.92, 1 Cr 1.98, 2 Li 2.05-2.07

Calculated values
Its space group is No. 1.

[5]
A plane-wave DFT calculation with GGA+U was carried out for Li3V2P3O12 after structural relaxation.

a b c (Å): 10.2469 10.2469 10.2469
angles (deg): 109.47 109.47 109.47
With the nearest neighbours (Å) after each atom.
Fractional coordinates of all 80 atoms:
Li 0.1250 0.2500 0.3750  8 O 2.33-2.48
Li 0.1250 0.3750 0.7500  8 O 2.33-2.48
Li 0.2500 0.3750 0.1250  8 O 2.33-2.48
Li 0.2500 0.8750 0.6250  8 O 2.33-2.48
Li 0.3750 0.1250 0.2500  8 O 2.33-2.48
Li 0.3750 0.7500 0.1250  8 O 2.33-2.48
Li 0.6250 0.2500 0.8750  8 O 2.33-2.48
Li 0.6250 0.8750 0.7500  8 O 2.33-2.48
Li 0.7500 0.1250 0.3750  8 O 2.33-2.48
Li 0.7500 0.6250 0.8750  8 O 2.33-2.48
Li 0.8750 0.6250 0.2500  8 O 2.33-2.48
Li 0.8750 0.7500 0.6250  8 O 2.33-2.48
V 0.0000 0.0000 0.0000  6 O 2.03
V 0.0000 0.0000 0.5000  6 O 2.03
V 0.0000 0.5000 0.0000  6 O 2.03
V 0.0000 0.5000 0.5000  6 O 2.03
V 0.5000 0.0000 0.0000  6 O 2.03
V 0.5000 0.0000 0.5000  6 O 2.03
V 0.5000 0.5000 0.0000  6 O 2.03
V 0.5000 0.5000 0.5000  6 O 2.03
P 0.1250 0.7500 0.8750  4 O 1.56
P 0.1250 0.8750 0.2500  4 O 1.56
P 0.2500 0.1250 0.8750  4 O 1.56
P 0.2500 0.6250 0.3750  4 O 1.56
P 0.3750 0.2500 0.6250  4 O 1.56
P 0.3750 0.6250 0.7500  4 O 1.56
P 0.6250 0.3750 0.2500  4 O 1.56
P 0.6250 0.7500 0.3750  4 O 1.56
P 0.7500 0.3750 0.6250  4 O 1.56
P 0.7500 0.8750 0.1250  4 O 1.56
P 0.8750 0.1250 0.7500  4 O 1.56
P 0.8750 0.2500 0.1250  4 O 1.56
O 0.0054 0.2072 0.1166  1 P 1.56
O 0.0054 0.2983 0.8889  1 P 1.56
O 0.0906 0.7072 0.7017  1 P 1.56
O 0.0906 0.8834 0.3889  1 P 1.56
O 0.1111 0.6166 0.4094  1 P 1.56
O 0.1111 0.9946 0.7017  1 P 1.56
O 0.1166 0.0054 0.2072  1 P 1.56
O 0.1166 0.6111 0.9094  1 P 1.56
O 0.2017 0.2072 0.5906  1 P 1.56
O 0.2017 0.4946 0.6111  1 P 1.56
O 0.2072 0.1166 0.0054  1 P 1.56
O 0.2072 0.5906 0.2017  1 P 1.56
O 0.2928 0.2983 0.9094  1 P 1.56
O 0.2928 0.4946 0.3834  1 P 1.56
O 0.2983 0.8889 0.0054  1 P 1.56
O 0.2983 0.9094 0.2928  1 P 1.56
O 0.3834 0.2928 0.4946  1 P 1.56
O 0.3834 0.5906 0.8889  1 P 1.56
O 0.3889 0.0906 0.8834  1 P 1.56
O 0.3889 0.7983 0.5054  1 P 1.56
O 0.4094 0.1111 0.6166  1 P 1.56
O 0.4094 0.7983 0.7928  1 P 1.56
O 0.4946 0.3834 0.2928  1 P 1.56
O 0.4946 0.6111 0.2017  1 P 1.56
O 0.5054 0.3889 0.7983  1 P 1.56
O 0.5054 0.6166 0.7072  1 P 1.56
O 0.5906 0.2017 0.2072  1 P 1.56
O 0.5906 0.8889 0.3834  1 P 1.56
O 0.6111 0.2017 0.4946  1 P 1.56
O 0.6111 0.9094 0.1166  1 P 1.56
O 0.6166 0.4094 0.1111  1 P 1.56
O 0.6166 0.7072 0.5054  1 P 1.56
O 0.7017 0.0906 0.7072  1 P 1.56
O 0.7017 0.1111 0.9946  1 P 1.56
O 0.7072 0.5054 0.6166  1 P 1.56
O 0.7072 0.7017 0.0906  1 P 1.56
O 0.7928 0.4094 0.7983  1 P 1.56
O 0.7928 0.8834 0.9946  1 P 1.56
O 0.7983 0.5054 0.3889  1 P 1.56
O 0.7983 0.7928 0.4094  1 P 1.56
O 0.8834 0.3889 0.0906  1 P 1.56
O 0.8834 0.9946 0.7928  1 P 1.56
O 0.8889 0.0054 0.2983  1 P 1.56
O 0.8889 0.3834 0.5906  1 P 1.56
O 0.9094 0.1166 0.6111  1 P 1.56
O 0.9094 0.2928 0.2983  1 P 1.56
O 0.9946 0.7017 0.1111  1 P 1.56
O 0.9946 0.7928 0.8834  1 P 1.56

Calculated values
Its space group is No. 230.

[6]
A plane-wave DFT calculation with GGA+U was carried out for Zn2Mo2O5 after structural relaxation.

a b c (Å): 3.3861 5.1701 14.9190
angles (deg): 90.00 90.00 90.00
With the nearest neighbours (Å) after each atom.
Fractional coordinates of all 18 atoms:
Zn 0.0000 0.0144 0.0000  3 O 1.91-2.00
Zn 0.0000 0.4813 0.3826  4 O 1.98-2.10
Zn 0.0000 0.5187 0.8826  4 O 1.98-2.10
Zn 0.0000 0.9856 0.5000  3 O 1.91-2.00
Mo 0.5000 0.0132 0.7828  2 O 1.83-2.04
Mo 0.5000 0.4908 0.5935  4 O 2.07-2.15
Mo 0.5000 0.5092 0.0935  4 O 2.07-2.15
Mo 0.5000 0.9868 0.2828  2 O 1.83-2.04
O 0.0000 0.0813 0.3594  2 Zn 2.10-2.16, 2 Mo 2.10
O 0.0000 0.3982 0.0139  2 Zn 2.00-2.06, 2 Mo 2.15
O 0.0000 0.6018 0.5139  2 Zn 2.00-2.06, 2 Mo 2.15
O 0.0000 0.9187 0.8594  2 Zn 2.10-2.16, 2 Mo 2.10
O 0.5000 0.1442 0.5239  2 Zn 1.91, 1 Mo 2.07
O 0.5000 0.1982 0.1844  1 Mo 1.83
O 0.5000 0.3770 0.8351  2 Zn 1.98, 1 Mo 2.04
O 0.5000 0.6230 0.3351  2 Zn 1.98, 1 Mo 2.04
O 0.5000 0.8018 0.6844  1 Mo 1.83
O 0.5000 0.8558 0.0239  2 Zn 1.91, 1 Mo 2.07

Calculated values
Its space group is No. 26.

[7]
A plane-wave DFT calculation with GGA+U was carried out for MgTlV4O10 after structural relaxation.

a b c (Å): 3.8525 6.0293 10.9729
angles (deg): 82.87 89.92 71.40
With the nearest neighbours (Å) after each atom.
Fractional coordinates of all 16 atoms:
Mg 0.0000 0.0000 0.0000  5 O 2.01-2.22
Tl 0.8920 0.2004 0.5475  4 O 2.81-2.94
V 0.2317 0.5317 0.2306  1 O 1.64
V 0.3332 0.3345 0.8652  1 O 1.65
V 0.5289 0.9382 0.2319  2 O 1.62-1.77
V 0.6445 0.7126 0.8657  1 O 1.63
O 0.0527 0.8907 0.1856  3 V 2.02-2.05, 1 Mg 2.05
O 0.1677 0.6657 0.9171  3 V 2.01-2.05, 1 Mg 2.22
O 0.2648 0.4638 0.3809  1 V 1.64
O 0.3330 0.3344 0.7149  1 V 1.65
O 0.3795 0.2370 0.1638  2 V 1.77-1.92
O 0.4988 0.0029 0.9483  2 V 1.99, 2 Mg 2.01
O 0.5308 0.9332 0.3801  1 V 1.62
O 0.6075 0.7895 0.7172  1 V 1.63
O 0.6899 0.6157 0.1904  3 V 1.96-2.02
O 0.8244 0.3517 0.9117  3 V 2.00-2.06, 1 Mg 2.11

Calculated values
Its space group is No. 1.

[8]
A plane-wave DFT calculation with GGA+U was carried out for MgV4O7F5 after structural relaxation.

a b c (Å): 5.1364 5.4387 8.8941
angles (deg): 75.03 76.44 62.98
With the nearest neighbours (Å) after each atom.
Fractional coordinates of all 17 atoms:
Mg 0.0000 0.0000 0.0000  3 F 1.95-2.15, 2 O 2.05-2.08
V 0.1475 0.2259 0.6124  3 O 1.65-1.85
V 0.2941 0.4826 0.9089  3 O 1.82-1.95, 2 F 2.01-2.02
V 0.5860 0.7182 0.1581  3 O 1.78-1.93, 1 F 1.96
V 0.8889 0.9726 0.3856  3 O 1.77-1.93
O 0.2283 0.3842 0.7460  2 V 1.82-1.85
O 0.2971 0.8119 0.3179  2 V 1.78-1.88
O 0.3827 0.5891 0.0609  2 V 1.82-1.93
O 0.4492 0.1349 0.4839  1 V 1.65
O 0.7849 0.9320 0.2210  1 V 1.77
O 0.8808 0.6879 0.9873  2 V 1.86-1.95
O 0.9359 0.0914 0.5608  2 V 1.75-1.93
F 0.2689 0.8773 0.7834  2 V 2.04-2.11, 1 Mg 2.15
F 0.3005 0.1147 0.0344  2 V 2.01-2.16, 1 Mg 2.01
F 0.7368 0.2840 0.8535  1 Mg 1.95, 1 V 2.02
F 0.8392 0.3581 0.2719  2 V 1.96-2.01
F 0.9132 0.6027 0.5141  2 V 1.93-2.00

Calculated values
Its space group is No. 1.

Number 1: magnetic moment 0.737 μB per atom, E_form -2319 meV per atom. Number 2: magnetic moment 0.600 μB per atom, E_form -1211 meV per atom. Number 3: magnetic moment 0.350 μB per atom, E_form -2333 meV per atom. Number 4: magnetic moment 0.431 μB per atom, E_form -2201 meV per atom. Number 5: magnetic moment 0.200 μB per atom, E_form -2681 meV per atom. Number 6: magnetic moment 0.664 μB per atom, E_form -1393 meV per atom. Number 7: magnetic moment 0.188 μB per atom, E_form -2326 meV per atom. Number 8: magnetic moment 0.176 μB per atom, E_form -2670 meV per atom.